(P)
Here is an optimized crystal structure of MgMn6O6F6 from the Materials Project database. Energies are from PBE with a Hubbard U.

abc: 5.2766 14.6257 3.0700
angles: 89.97 90.03 98.78
Last column: nearest neighbours and their distance in Å.
Positions (direct):
1 Mg 0.5810 0.0065 0.0127  3 F 2.01-2.06, 3 O 2.02-2.11
2 Mn 0.0963 0.9796 0.0120  3 O 2.11-2.19, 3 F 2.15-2.35
3 Mn 0.9917 0.3445 0.0102  2 O 1.93-1.95, 4 F 2.06-2.13
4 Mn 0.9492 0.6600 0.0097  2 O 1.91-1.93, 4 F 2.03-2.13
5 Mn 0.4887 0.1946 0.5112  4 O 1.97-2.02
6 Mn 0.4809 0.4993 0.5098  4 O 1.97-1.98
7 Mn 0.4459 0.8070 0.5111  3 O 1.96-2.17
8 O 0.3393 0.9448 0.5122  2 Mg 2.11, 3 Mn 2.11-2.17
9 O 0.3655 0.1095 0.0115  3 Mn 2.02-2.19, 1 Mg 2.02
10 O 0.2396 0.7574 0.0108  3 Mn 1.93-1.96
11 O 0.3024 0.4330 0.0097  3 Mn 1.93-1.98
12 O 0.6827 0.2529 0.0111  3 Mn 1.95-1.97
13 O 0.6467 0.5693 0.0098  3 Mn 1.91-1.97
14 F 0.1539 0.2711 0.5100  3 Mn 2.13-2.23
15 F 0.1164 0.5993 0.5072  2 Mn 2.03-2.05
16 F 0.7352 0.8889 0.0131  1 Mg 2.01, 1 Mn 2.15
17 F 0.8364 0.0438 0.5129  2 Mg 2.06
18 F 0.8304 0.4097 0.5103  2 Mn 2.06
19 F 0.7736 0.7287 0.5132  3 Mn 2.12-2.21

Total magnetization = 26.00 μB/f.u.

=====

(Q)
Here is an optimized crystal structure of MgMn6O6F6 from the Materials Project database. Energies are from PBE with a Hubbard U.

abc: 5.3048 14.5958 3.0443
angles: 90.00 90.00 87.53
Last column: nearest neighbours and their distance in Å.
Positions (direct):
1 Mg 0.8765 0.8419 0.5000  3 F 1.98-2.06, 3 O 2.02-2.11
2 Mn 0.0194 0.0288 0.0000  4 O 1.96-2.01
3 Mn 0.1207 0.3333 0.0000  3 O 1.96-2.01, 2 F 2.04
4 Mn 0.9498 0.6449 0.0001  2 O 1.97-2.16, 2 F 2.06
5 Mn 0.5603 0.1778 0.4999  2 O 1.96, 4 F 2.06-2.12
6 Mn 0.5346 0.4905 0.5001  4 O 1.96-1.97
7 Mn 0.3534 0.8168 0.5000  3 O 2.12-2.19, 3 F 2.13-2.35
8 O 0.2752 0.2674 0.5000  3 Mn 1.96
9 O 0.1202 0.9445 0.5000  3 Mn 2.01-2.19, 1 Mg 2.02
10 O 0.0994 0.7802 0.0000  2 Mg 2.11, 3 Mn 2.12-2.16
11 O 0.3687 0.4337 0.0000  3 Mn 1.96-2.01
12 O 0.6918 0.5515 0.0001  3 Mn 1.97
13 O 0.8426 0.0863 0.4999  3 Mn 1.96
14 F 0.1914 0.6044 0.5000  2 Mn 2.06
15 F 0.3720 0.1064 0.9999  3 Mn 2.12-2.23
16 F 0.7429 0.2432 0.9999  2 Mn 2.06
17 F 0.6339 0.8815 0.0000  2 Mg 2.06
18 F 0.9116 0.3904 0.5000  2 Mn 2.04
19 F 0.6829 0.7285 0.5000  1 Mg 1.98, 1 Mn 2.13

Total magnetization = 25.95 μB/f.u.

=====

(P) takes first place; second place is 0.010 eV/atom up.